32
Lattice="0.0000 6.6351 6.6351 6.6351 0.0000 6.6351 6.6351 6.6351 0.0000" Properties=species:S:1:pos:R:3 comment="Li13In3, relaxed, DFT PBE-GGA" density_g_cm3=2.47 dft_energy_ev_per_atom=-2.27 vol_a3_per_atom=18.26 pbc="T T T"
Li 9.9526 9.9526 9.9526
Li 6.6351 6.6351 6.6351
Li 4.9763 1.6588 4.9763
Li 4.9763 4.9763 1.6588
Li 1.6588 4.9763 4.9763
Li 1.6588 1.6588 1.6588
Li 8.2121 5.0581 8.2121
Li 8.3756 8.3756 11.5296
Li 11.5296 8.3756 8.3756
Li 11.5296 11.5296 11.5296
Li 5.0581 8.2121 8.2121
Li 5.0581 5.0581 5.0581
Li 8.2121 8.2121 5.0581
Li 8.3756 11.5296 8.3756
Li 3.3175 3.3175 0.0425
Li 3.2751 6.6351 6.6351
Li 9.9951 6.6351 6.6351
Li 6.6351 6.6351 9.9951
Li 6.6351 9.9951 6.6351
Li 6.6351 3.2751 6.6351
Li 3.3175 6.5926 3.3175
Li 0.0425 3.3175 3.3175
Li 6.5926 3.3175 3.3175
Li 3.3175 0.0425 3.3175
Li 6.6351 6.6351 3.2751
Li 3.3175 3.3175 6.5926
In 3.3175 3.3175 3.3175
In 0.0000 0.0000 0.0000
In 4.9763 8.2939 4.9763
In 4.9763 4.9763 8.2939
In 8.2939 4.9763 4.9763
In 8.2939 8.2939 8.2939